[1]
MgTe2Mo2WS4 (PBE, relaxed); VASP energy = -6.40 eV per atom; E (MP2020) = -6.603 eV/atom; density = 3.9 g cm⁻³; SG = No. 1; energy relative to the elements = -0.695 eV/atom
1.0
3.3096 -0.0045 0.0405
-1.6587 2.8639 -0.0437
0.3799 -0.2547 35.0423
S W Mg Te Mo
4 1 1 2 2
direct
0.6607 0.3414 0.6266
0.6734 0.3254 0.5392
0.3168 0.6871 0.3836
0.3305 0.6700 0.2961
0.3339 0.6666 0.5831
0.6708 0.3286 0.4597
0.6738 0.3237 0.0608
0.6591 0.3423 0.1702
0.3335 0.6659 0.1155
0.6569 0.3453 0.3395

=====

[2]
MgTe4Mo2WS2 (PBE, relaxed); VASP energy = -5.97 eV per atom; E (MP2020) = -6.073 eV/atom; density = 4.2 g cm⁻³; SG = No. 8; energy relative to the elements = -0.364 eV/atom
1.0
-1.8092 -0.0834 2.9142
0.8832 -2.9281 -1.5559
31.7344 -0.9018 19.7166
S Mg Te W Mo
2 1 4 1 2
direct
0.3331 0.6665 0.3009
0.3322 0.6661 0.3810
0.0016 0.0009 0.4470
0.6675 0.3337 0.5345
0.6665 0.3333 0.6349
0.6670 0.3334 0.0660
0.6660 0.3330 0.1654
0.3336 0.6668 0.5849
0.6659 0.3330 0.3405
0.3331 0.6665 0.1157

=====

[3]
MgTe4MoW2S2 (PBE, relaxed); VASP energy = -6.13 eV per atom; E (MP2020) = -6.234 eV/atom; density = 5.5 g cm⁻³; SG = No. 1; energy relative to the elements = -0.313 eV/atom
1.0
3.4091 -0.0001 0.0000
-1.7046 2.9520 0.0000
0.0000 -0.0002 31.7631
Mo W S Mg Te
1 2 2 1 4
direct
0.3333 0.6666 0.1156
0.3333 0.6666 0.5784
0.6667 0.3333 0.3470
0.3334 0.6668 0.3942
0.3334 0.6668 0.2997
0.6804 0.3758 0.8499
0.6666 0.3333 0.5192
0.6666 0.3333 0.0568
0.6666 0.3333 0.1745
0.6666 0.3333 0.6374

=====

Repeat the first record exactly.
MgTe2Mo2WS4 (PBE, relaxed); VASP energy = -6.40 eV per atom; E (MP2020) = -6.603 eV/atom; density = 3.9 g cm⁻³; SG = No. 1; energy relative to the elements = -0.695 eV/atom
1.0
3.3096 -0.0045 0.0405
-1.6587 2.8639 -0.0437
0.3799 -0.2547 35.0423
S W Mg Te Mo
4 1 1 2 2
direct
0.6607 0.3414 0.6266
0.6734 0.3254 0.5392
0.3168 0.6871 0.3836
0.3305 0.6700 0.2961
0.3339 0.6666 0.5831
0.6708 0.3286 0.4597
0.6738 0.3237 0.0608
0.6591 0.3423 0.1702
0.3335 0.6659 0.1155
0.6569 0.3453 0.3395

=====

Which value of E (MP2020) does entry 2 give? -6.073 eV/atom

=====

What is the E (MP2020) in the third record? -6.234 eV/atom

=====

Look up the density of the third one. 5.5 g cm⁻³